Model i:
{"formula": "Gd3AsO7", "functional": "PBE-GGA", "state": "optimized geometry", "lattice_angstrom": [[-2.1485, 1.4083, -5.9067], [-0.7490, -6.3021, 1.1010], [-6.7979, 1.2938, 2.7812]], "species": ["As", "As", "O", "O", "O", "O", "O", "O", "O", "O", "O", "O", "O", "O", "O", "O", "Gd", "Gd", "Gd", "Gd", "Gd", "Gd"], "frac_coords": [[0.9997, 0.9997, 0.5000], [0.0003, 0.0003, 0.0000], [0.6354, 0.3646, 0.7500], [0.3646, 0.6354, 0.2500], [0.6945, 0.9330, 0.4734], [0.9432, 0.7008, 0.9702], [0.0577, 0.9423, 0.2500], [0.3707, 0.6293, 0.7500], [0.2992, 0.0568, 0.5298], [0.9423, 0.0577, 0.7500], [0.9330, 0.6945, 0.5266], [0.7008, 0.9432, 0.0298], [0.0670, 0.3055, 0.0266], [0.3055, 0.0670, 0.9734], [0.6293, 0.3707, 0.2500], [0.0568, 0.2992, 0.4702], [0.5111, 0.5111, 0.5000], [0.4889, 0.4889, 0.0000], [0.5351, 0.9982, 0.7520], [0.0018, 0.4649, 0.7480], [0.9982, 0.5351, 0.2480], [0.4649, 0.0018, 0.2520]], "total_magnetization_mub_per_atom": 1.91, "vol_a3_per_atom": 13.27, "spacegroup": "C222_1 (20)"}

---

Model ii:
{"formula": "Gd3AsO7", "functional": "PBE-GGA", "state": "optimized geometry", "lattice_angstrom": [[-6.3615, 0.0000, 0.0000], [0.9166, 6.3873, 0.0000], [-0.0083, -2.1687, -7.1815]], "species": ["Gd", "Gd", "Gd", "Gd", "Gd", "Gd", "As", "As", "O", "O", "O", "O", "O", "O", "O", "O", "O", "O", "O", "O", "O", "O"], "frac_coords": [[0.2489, 0.4962, 0.3766], [0.2588, 0.5298, 0.8794], [0.4577, 0.9985, 0.2529], [0.7412, 0.4702, 0.1206], [0.7511, 0.5038, 0.6234], [0.5423, 0.0015, 0.7471], [0.0000, 0.0000, 0.5000], [0.0000, 0.0000, 0.0000], [0.2772, 0.9462, 0.9586], [0.4328, 0.6371, 0.1655], [0.5593, 0.3594, 0.3474], [0.4407, 0.6406, 0.6526], [0.0596, 0.3140, 0.6066], [0.0860, 0.0647, 0.2668], [0.5672, 0.3629, 0.8345], [0.2759, 0.9660, 0.5232], [0.9404, 0.6860, 0.3934], [0.0728, 0.3017, 0.0424], [0.9272, 0.6983, 0.9576], [0.9140, 0.9353, 0.7332], [0.7241, 0.0340, 0.4768], [0.7228, 0.0538, 0.0414]], "total_magnetization_mub_per_atom": 1.91, "vol_a3_per_atom": 13.26, "spacegroup": "P-1 (2)"}

---

Stability check: which of them is least stable? model ii.

---

Model i:
{"formula": "Ge5Te8As2", "functional": "PBE-GGA", "state": "optimized geometry", "lattice_angstrom": [[2.1001, -3.6375, 0.0000], [2.1001, 3.6375, 0.0000], [0.0000, 0.0000, 27.2307]], "species": ["Ge", "Ge", "Ge", "Ge", "Ge", "As", "As", "Te", "Te", "Te", "Te", "Te", "Te", "Te", "Te"], "frac_coords": [[0.6667, 0.3333, 0.8711], [0.3333, 0.6667, 0.1289], [0.3333, 0.6667, 0.7414], [0.6667, 0.3333, 0.2586], [0.0000, 0.0000, 0.0000], [0.0000, 0.0000, 0.6102], [0.0000, 0.0000, 0.3898], [0.3333, 0.6667, 0.9359], [0.6667, 0.3333, 0.6784], [0.3333, 0.6667, 0.5543], [0.6667, 0.3333, 0.0641], [0.0000, 0.0000, 0.8073], [0.6667, 0.3333, 0.4457], [0.3333, 0.6667, 0.3216], [0.0000, 0.0000, 0.1927]], "total_magnetization_mub_per_atom": 0.00, "vol_a3_per_atom": 27.74, "spacegroup": "P-3m1 (164)"}

---

Model ii:
{"formula": "Ge5Te8As2", "functional": "PBE-GGA", "state": "optimized geometry", "lattice_angstrom": [[2.9738, 6.5979, 0.0000], [-2.9738, 6.5979, 0.0000], [0.0000, 5.3123, 10.5904]], "species": ["Te", "Te", "Te", "Te", "Te", "Te", "Te", "Te", "Ge", "Ge", "Ge", "Ge", "Ge", "As", "As"], "frac_coords": [[0.7507, 0.7507, 0.1253], [0.5000, 0.5000, 0.0000], [0.2508, 0.2508, 0.3754], [0.2493, 0.2493, 0.8747], [0.7492, 0.7492, 0.6246], [0.0008, 0.0008, 0.7501], [0.5000, 0.5000, 0.5000], [0.9992, 0.9992, 0.2499], [0.5031, 0.5031, 0.7469], [0.2496, 0.2496, 0.1256], [0.0000, 0.0000, 0.0000], [0.4969, 0.4969, 0.2531], [0.7504, 0.7504, 0.8744], [0.7499, 0.7499, 0.3754], [0.2501, 0.2501, 0.6246]], "total_magnetization_mub_per_atom": 0.00, "vol_a3_per_atom": 27.71, "spacegroup": "C2/m (12)"}

---

Stability check: which of them is least stable? model ii.